NiBiPO5: optimized geometry, r2SCAN.

ΔH_f (0 K) = -1.88 eV/atom
Calculated total energy = -15.55 eV/atom

abc: 5.1582 11.1879 7.5081
angles: 90.00 113.90 90.00
Fractional coordinates of all 32 atoms:
Ni1 0.0538 0.0783 0.1844
Ni2 0.0538 0.4217 0.6844
Ni3 0.9462 0.5783 0.3156
Ni4 0.9462 0.9217 0.8156
Bi1 0.4178 0.1018 0.8076
Bi2 0.4178 0.3982 0.3076
Bi3 0.5822 0.6018 0.6924
Bi4 0.5822 0.8982 0.1924
P1 0.3054 0.6522 0.0233
P2 0.3054 0.8478 0.5233
P3 0.6946 0.1522 0.4767
P4 0.6946 0.3478 0.9767
O1 0.1771 0.7211 0.4866
O2 0.1771 0.7789 0.9866
O3 0.2067 0.5822 0.1606
O4 0.2067 0.9178 0.6606
O5 0.2228 0.5825 0.8315
O6 0.2228 0.9175 0.3315
O7 0.2597 0.0254 0.0173
O8 0.2597 0.4746 0.5173
O9 0.3708 0.1723 0.3850
O10 0.3708 0.3277 0.8850
O11 0.6292 0.6723 0.1150
O12 0.6292 0.8277 0.6150
O13 0.7403 0.5254 0.4827
O14 0.7403 0.9746 0.9827
O15 0.7772 0.0825 0.6685
O16 0.7772 0.4175 0.1685
O17 0.7933 0.0822 0.3394
O18 0.7933 0.4178 0.8394
O19 0.8229 0.2211 0.0134
O20 0.8229 0.2789 0.5134

SmNiBi: optimized geometry, r2SCAN.

ΔH_f (0 K) = -0.75 eV/atom
Calculated total energy = -34.15 eV/atom

abc: 4.6208 4.6208 4.6208
angles: 60.00 60.00 60.00
Fractional coordinates of all 3 atoms:
Sm1 0.0000 0.0000 0.0000
Ni1 0.2500 0.2500 0.2500
Bi1 0.5000 0.5000 0.5000

TbNiBi: optimized geometry, r2SCAN.

ΔH_f (0 K) = -0.76 eV/atom
Calculated total energy = -34.66 eV/atom

abc: 4.5639 4.5639 4.5639
angles: 60.00 60.00 60.00
Fractional coordinates of all 3 atoms:
Tb1 0.0000 0.0000 0.0000
Ni1 0.2500 0.2500 0.2500
Bi1 0.5000 0.5000 0.5000

Tm5Ni2Bi: optimized geometry, r2SCAN.

ΔH_f (0 K) = -0.51 eV/atom
Calculated total energy = -32.77 eV/atom

abc: 8.5490 8.5490 8.5490
angles: 127.83 127.83 76.90
Fractional coordinates of all 16 atoms:
Tm1 0.0000 0.0000 0.0000
Tm2 0.0234 0.5234 0.8116
Tm3 0.2119 0.0234 0.5000
Tm4 0.2881 0.7881 0.8116
Tm5 0.4766 0.2881 0.5000
Tm6 0.5000 0.5000 0.0000
Tm7 0.5234 0.7119 0.5000
Tm8 0.7119 0.2119 0.1884
Tm9 0.7881 0.9766 0.5000
Tm10 0.9766 0.4766 0.1884
Ni1 0.1331 0.3669 0.5000
Ni2 0.3669 0.8669 0.2337
Ni3 0.6331 0.1331 0.7663
Ni4 0.8669 0.6331 0.5000
Bi1 0.2500 0.2500 0.0000
Bi2 0.7500 0.7500 0.0000

What did the first record say?
NiBiPO5: optimized geometry, r2SCAN.

ΔH_f (0 K) = -1.88 eV/atom
Calculated total energy = -15.55 eV/atom

abc: 5.1582 11.1879 7.5081
angles: 90.00 113.90 90.00
Fractional coordinates of all 32 atoms:
Ni1 0.0538 0.0783 0.1844
Ni2 0.0538 0.4217 0.6844
Ni3 0.9462 0.5783 0.3156
Ni4 0.9462 0.9217 0.8156
Bi1 0.4178 0.1018 0.8076
Bi2 0.4178 0.3982 0.3076
Bi3 0.5822 0.6018 0.6924
Bi4 0.5822 0.8982 0.1924
P1 0.3054 0.6522 0.0233
P2 0.3054 0.8478 0.5233
P3 0.6946 0.1522 0.4767
P4 0.6946 0.3478 0.9767
O1 0.1771 0.7211 0.4866
O2 0.1771 0.7789 0.9866
O3 0.2067 0.5822 0.1606
O4 0.2067 0.9178 0.6606
O5 0.2228 0.5825 0.8315
O6 0.2228 0.9175 0.3315
O7 0.2597 0.0254 0.0173
O8 0.2597 0.4746 0.5173
O9 0.3708 0.1723 0.3850
O10 0.3708 0.3277 0.8850
O11 0.6292 0.6723 0.1150
O12 0.6292 0.8277 0.6150
O13 0.7403 0.5254 0.4827
O14 0.7403 0.9746 0.9827
O15 0.7772 0.0825 0.6685
O16 0.7772 0.4175 0.1685
O17 0.7933 0.0822 0.3394
O18 0.7933 0.4178 0.8394
O19 0.8229 0.2211 0.0134
O20 0.8229 0.2789 0.5134

> Look up the ΔH_f (0 K) of the second one.

-0.75 eV/atom